Version a
## Li2CoSi4O10 (GGA+U)

Data for Li2CoSi4O10 after structural relaxation.

Structure (POSCAR):
```
Li2CoSi4O10
1.0
-3.821 -4.398 -4.003
7.451 -6.005 -0.515
-4.588 -6.700 11.743
O Si Co Li
40 16 4 8
Cartesian
1.220 -9.709 -0.630 O
0.417 -13.741 5.897 O
-4.244 -7.467 11.159 O
-2.038 -3.390 4.722 O
-0.410 -13.981 3.324 O
-2.721 -11.800 6.920 O
-3.496 -4.407 -2.052 O
3.512 -7.953 3.088 O
1.345 -13.918 8.716 O
-1.045 -8.813 0.601 O
0.092 -7.719 -3.141 O
5.727 -5.281 -0.099 O
0.588 -7.094 -0.564 O
-1.720 -10.306 8.977 O
-1.446 -8.504 7.045 O
1.345 -6.536 3.647 O
1.076 -10.940 7.103 O
-3.571 -8.429 8.728 O
-0.241 -11.573 4.407 O
-3.491 -9.198 1.391 O
-1.170 -7.819 9.657 O
-1.616 -6.252 -1.773 O
-2.838 -6.795 4.369 O
0.799 -5.209 -2.379 O
1.299 -8.287 1.676 O
-2.759 -3.833 2.160 O
3.137 -11.909 8.535 O
-1.522 -10.960 2.112 O
-1.315 -12.932 8.789 O
-0.074 -3.892 1.997 O
-1.316 -9.181 4.153 O
-1.635 -4.119 -0.207 O
3.051 -10.571 3.559 O
2.693 -5.971 1.429 O
-4.079 -5.794 6.421 O
-2.883 -11.370 4.319 O
-3.580 -5.991 0.078 O
-4.138 -9.666 5.980 O
5.929 -7.800 0.508 O
1.955 -12.957 3.878 O
-4.202 -6.029 4.786 Si
2.239 -7.168 2.415 Si
-3.708 -11.205 5.726 Si
-2.382 -11.740 8.540 Si
4.184 -9.447 3.160 Si
-1.969 -8.732 8.558 Si
0.404 -13.081 4.422 Si
6.820 -6.443 0.177 Si
2.687 -11.046 7.216 Si
-2.590 -5.225 -0.944 Si
0.549 -8.522 0.242 Si
-4.593 -7.446 9.552 Si
-1.444 -3.434 1.266 Si
-2.153 -9.995 0.946 Si
-0.026 -6.581 -2.001 Si
-1.481 -10.733 3.740 Si
0.644 -9.588 -2.543 Co
-0.152 -3.486 3.955 Co
0.225 -12.703 7.522 Co
-2.634 -8.430 5.516 Co
-1.757 -7.664 3.062 Li
-5.643 -8.972 6.982 Li
2.094 -11.325 -0.016 Li
1.632 -4.355 1.205 Li
4.455 -7.187 -1.802 Li
0.001 -9.556 6.279 Li
-3.111 -14.558 7.279 Li
-1.503 -4.798 5.912 Li
```

Output
Total moment (μB/f.u.): 3.00


Version b
## Li2CoSi4O10 (GGA+U)

Data for Li2CoSi4O10 after structural relaxation.

Structure (POSCAR):
```
Li2CoSi4O10
1.0
7.731 0.000 0.000
0.000 11.065 0.000
0.000 3.975 10.452
Si O Li Co
16 40 8 4
Cartesian
0.371 2.024 2.687 Si
3.475 8.438 0.129 Si
3.444 8.291 8.102 Si
4.287 6.749 2.350 Si
7.377 4.529 4.321 Si
4.237 13.016 7.765 Si
0.391 8.438 0.129 Si
4.219 4.529 4.321 Si
3.512 10.511 6.131 Si
0.421 8.291 8.102 Si
4.257 6.602 10.323 Si
7.310 6.749 2.350 Si
0.354 10.511 6.131 Si
3.494 2.024 2.687 Si
7.360 13.016 7.765 Si
7.340 6.602 10.323 Si
0.392 7.074 7.053 O
7.467 2.948 3.884 O
7.308 12.089 9.162 O
1.933 1.702 3.070 O
4.104 9.661 7.443 O
4.406 10.234 4.831 O
0.264 12.092 6.568 O
4.258 7.966 3.399 O
3.410 7.013 0.970 O
1.933 10.110 5.897 O
4.321 8.026 9.482 O
7.275 8.026 9.482 O
4.130 2.948 3.884 O
0.523 3.269 7.908 O
1.933 8.660 8.643 O
4.289 12.089 9.162 O
5.798 4.929 4.555 O
0.305 5.425 9.492 O
4.389 11.771 2.544 O
0.239 5.379 3.010 O
0.423 2.951 1.291 O
7.208 11.771 2.544 O
3.342 3.269 7.908 O
7.339 7.966 3.399 O
1.933 12.822 10.137 O
0.456 7.013 0.970 O
5.798 2.218 0.316 O
5.798 13.338 7.382 O
0.541 4.805 5.622 O
7.190 10.234 4.831 O
3.561 5.425 9.492 O
7.426 9.615 0.961 O
3.325 4.805 5.622 O
7.493 9.661 7.443 O
5.798 6.380 1.809 O
3.442 2.951 1.291 O
4.170 9.615 0.961 O
3.601 12.092 6.568 O
3.474 7.074 7.053 O
3.627 5.379 3.010 O
5.798 8.651 4.667 Li
1.933 4.507 1.390 Li
1.933 3.816 9.322 Li
5.798 11.224 1.130 Li
5.798 11.624 4.132 Li
1.933 6.388 5.785 Li
1.933 3.416 6.320 Li
5.798 10.533 9.062 Li
3.686 5.200 7.556 Co
4.045 9.840 2.897 Co
7.552 9.840 2.897 Co
0.179 5.200 7.556 Co
```

Output
Total moment (μB/f.u.): 1.00


Version c
## Li2CoSi4O10 (GGA+U)

Data for Li2CoSi4O10 after structural relaxation.

Structure (POSCAR):
```
Li2CoSi4O10
1.0
9.570 0.000 0.000
0.000 14.534 0.000
0.000 0.000 6.970
Si O Co Li
16 40 4 8
Cartesian
4.322 6.354 6.820 Si
1.146 2.295 4.989 Si
0.885 3.084 2.038 Si
8.963 5.713 1.718 Si
0.608 12.980 1.768 Si
5.393 8.821 5.203 Si
0.463 8.180 3.335 Si
5.932 4.972 1.982 Si
5.248 13.621 3.635 Si
3.900 11.450 5.523 Si
4.178 1.554 5.253 Si
9.107 0.913 0.150 Si
8.685 10.351 1.447 Si
5.670 4.183 4.933 Si
8.424 9.562 5.467 Si
3.639 12.239 1.504 Si
4.873 12.287 4.497 O
0.088 9.514 2.473 O
9.552 1.204 5.528 O
7.059 3.757 5.652 O
2.727 6.571 6.743 O
4.697 5.020 5.958 O
9.493 13.188 3.225 O
0.078 5.921 0.261 O
2.058 7.963 3.258 O
4.787 10.144 5.968 O
4.767 6.063 1.443 O
9.483 2.247 1.012 O
0.002 11.657 1.003 O
1.087 2.133 3.357 O
3.698 12.401 6.843 O
0.422 14.195 0.690 O
5.207 7.606 6.281 O
5.646 3.469 1.483 O
2.274 3.510 1.319 O
0.018 8.472 4.928 O
0.861 3.798 5.487 O
2.205 12.792 2.037 O
4.708 8.613 3.746 O
2.511 11.024 4.804 O
9.568 4.390 2.483 O
6.991 9.009 4.933 O
5.872 5.134 3.613 O
4.863 1.346 6.710 O
3.924 10.736 2.002 O
4.363 0.339 4.175 O
2.580 1.742 5.522 O
7.297 10.777 2.167 O
7.365 5.525 1.448 O
4.783 2.877 4.488 O
6.843 13.838 3.712 O
7.512 0.696 0.227 O
8.709 11.065 4.969 O
9.149 6.928 2.796 O
8.483 9.400 0.128 O
4.803 13.330 2.042 O
1.793 4.823 6.867 Co
2.992 9.711 3.382 Co
7.777 12.090 3.589 Co
6.578 2.444 0.104 Co
8.748 4.641 5.849 Li
3.768 7.099 2.973 Li
5.802 14.366 0.512 Li
5.608 9.893 2.363 Li
3.963 2.626 1.122 Li
8.553 0.168 3.997 Li
1.017 7.435 6.458 Li
0.822 11.908 4.607 Li
```

Output
Total moment (μB/f.u.): 3.00


Version d
## Li2CoSi4O10 (GGA+U)

Data for Li2CoSi4O10 after structural relaxation.

Structure (POSCAR):
```
Li2CoSi4O10
1.0
6.907 0.000 0.000
-3.401 6.785 0.000
-2.203 -2.922 8.926
Li Si O Co
4 8 20 2
Cartesian
-0.463 2.331 8.735 Li
3.422 0.881 3.822 Li
1.767 1.533 0.191 Li
-2.119 2.983 5.105 Li
-3.606 2.432 7.668 Si
4.909 1.432 1.258 Si
3.273 -2.026 7.230 Si
-1.651 0.409 6.828 Si
2.955 3.455 2.098 Si
-0.069 3.563 2.277 Si
1.372 0.301 6.649 Si
-1.969 5.890 1.696 Si
-1.835 0.834 5.293 O
-3.677 3.281 6.322 O
4.980 0.583 2.604 O
2.003 -1.209 6.594 O
1.416 3.716 1.560 O
-2.356 -0.994 7.299 O
0.148 3.372 6.504 O
-0.026 2.928 3.753 O
3.436 2.203 1.092 O
3.659 4.858 1.627 O
3.139 3.029 3.633 O
-2.132 1.660 7.834 O
1.329 0.936 5.173 O
2.891 -2.419 8.823 O
2.202 1.216 7.728 O
-1.588 6.283 0.103 O
-0.112 0.148 7.367 O
1.155 0.491 2.422 O
-0.700 5.073 2.332 O
-0.898 2.648 1.198 O
1.605 3.025 5.104 Co
-0.302 0.839 3.822 Co
```

Output
Total moment (μB/f.u.): 3.00


Which structure is most stable? version c, by 1.9 kJ/mol of atoms over the runner-up.